VASP calculation (PBE-GGA) on an optimized crystal structure of Cu3PO7. Values from VASP.

As for the formation energy: -1.36 eV per atom. The calculation puts the volume at 11.9 Å³ per atom. The value obtained for the total energy is -499.7 eV for the cell shown.

Cell and atoms, written as Quantum ESPRESSO input:
```
&SYSTEM
  ibrav = 0, nat = 88, ntyp = 3
/
ATOMIC_SPECIES
O 16.00 O.upf
Cu 63.55 Cu.upf
P 30.97 P.upf
ATOMIC_POSITIONS angstrom
O 2.879 10.703 4.986
O 1.708 1.310 7.957
Cu 2.598 6.561 6.413
Cu 4.697 0.150 5.207
P 1.408 4.060 5.465
Cu 1.325 5.331 8.978
P 1.963 6.902 12.557
Cu 5.970 6.561 0.680
O 5.080 1.310 13.321
Cu 5.970 9.882 7.772
O 2.322 3.625 4.306
O 2.339 9.162 9.844
P 1.408 1.421 12.557
O 5.035 9.652 6.228
O 1.033 3.681 9.844
Cu 5.418 5.631 5.207
O 1.049 9.106 4.306
P 1.963 9.541 5.465
O 5.694 3.625 2.786
Cu 2.755 3.471 10.543
O 6.172 8.392 1.043
Cu 3.988 7.491 3.642
Cu 4.145 1.080 0.680
O 4.405 1.800 4.340
Cu 0.617 8.952 10.543
Cu 2.755 2.010 3.450
O 1.708 4.171 0.864
O 3.633 10.299 11.963
O 5.080 4.171 6.228
O 0.572 2.570 13.142
O 3.633 6.144 4.870
O 2.879 5.740 12.078
Cu 0.774 1.080 6.413
O 0.493 5.222 4.986
P 5.335 6.902 8.720
P 4.780 1.421 8.720
Cu 2.598 9.882 13.505
O 5.710 9.162 11.433
O 4.421 7.337 9.878
O 2.255 4.699 6.630
O 4.488 6.263 7.554
Cu 2.047 5.631 1.885
O 4.405 3.681 11.433
O 6.481 4.818 11.963
O 1.033 1.800 2.752
Cu 1.325 0.150 1.885
O 2.800 8.051 13.142
Cu 3.988 8.952 10.735
O 3.864 5.222 2.107
Cu 0.774 4.401 13.505
O 2.800 8.392 6.049
P 4.780 4.060 1.627
O 1.117 10.180 6.630
Cu 0.617 7.491 3.450
O 3.943 2.911 1.043
Cu 5.418 10.812 12.299
O 2.322 1.856 11.399
O 5.035 6.791 13.321
O 3.864 0.259 9.199
O 5.710 7.281 4.340
Cu 4.697 5.331 12.299
P 5.335 9.541 1.627
Cu 6.127 3.471 10.735
O 0.572 2.911 6.049
O 0.493 0.259 12.078
O 5.627 0.782 7.554
Cu 4.145 4.401 7.772
O 6.250 10.703 2.107
O 1.664 9.652 0.864
O 4.488 10.180 0.462
O 6.481 0.663 4.870
O 5.627 4.699 0.462
Cu 6.127 2.010 3.642
O 2.339 7.281 2.752
O 3.110 4.818 9.315
O 5.694 1.856 9.878
O 3.943 2.570 8.136
O 4.421 9.106 2.786
O 0.262 10.299 9.315
O 2.255 0.782 13.723
O 6.250 5.740 9.199
Cu 2.047 10.812 8.978
O 3.110 0.663 2.222
O 1.664 6.791 7.957
O 6.172 8.051 8.136
O 0.262 6.144 2.222
O 1.049 7.337 11.399
O 1.117 6.263 13.723
CELL_PARAMETERS angstrom
6.743 0.000 0.000
0.000 10.962 0.000
0.000 0.000 14.185
```